# 1
XeF4: relaxed, r2SCAN.

Cell: 4.971 5.893 5.689 Å, 90.00 90.00 100.84°
Fractional coordinates of all 10 atoms:
Xe 0.500 0.500 0.500
Xe 0.000 0.000 0.000
F 0.215 0.651 0.656
F 0.285 0.849 0.156
F 0.250 0.312 0.020
F 0.250 0.188 0.520
F 0.750 0.688 0.980
F 0.750 0.812 0.480
F 0.715 0.151 0.844
F 0.785 0.349 0.344

Computed properties:
**Magnetic moment**: 0.00 μB per formula unit
**V**: 163.7 Å³ per cell
**Space-group type**: P2_1/c (14)
**ΔH_f (0 K)**: -2.3 eV per formula unit

---

# 2
YF3: relaxed, r2SCAN.

Cell: 6.759 6.759 6.944 Å, 90.00 90.00 120.00°
Fractional coordinates of all 24 atoms:
Y 0.345 0.345 0.750
Y 0.655 0.000 0.750
Y 0.000 0.655 0.750
Y 0.345 0.000 0.250
Y 0.000 0.345 0.250
Y 0.655 0.655 0.250
F 0.693 0.626 0.579
F 0.374 0.067 0.579
F 0.933 0.307 0.579
F 0.693 0.067 0.079
F 0.933 0.626 0.079
F 0.374 0.307 0.079
F 0.307 0.374 0.421
F 0.626 0.933 0.421
F 0.067 0.693 0.421
F 0.307 0.933 0.921
F 0.067 0.374 0.921
F 0.626 0.693 0.921
F 0.333 0.667 0.682
F 0.333 0.667 0.182
F 0.667 0.333 0.318
F 0.667 0.333 0.818
F 0.000 0.000 0.750
F 0.000 0.000 0.250

Computed properties:
**Magnetic moment**: 0.00 μB per formula unit
**V**: 274.8 Å³ per cell
**Space-group type**: P-3c1 (165)
**ΔH_f (0 K)**: -17.8 eV per formula unit

---

# 3
YF3: relaxed, r2SCAN.

Cell: 4.355 6.388 6.856 Å, 90.00 90.00 90.00°
Fractional coordinates of all 16 atoms:
Y 0.937 0.631 0.750
Y 0.437 0.869 0.250
Y 0.563 0.131 0.750
Y 0.063 0.369 0.250
F 0.381 0.166 0.437
F 0.881 0.334 0.563
F 0.119 0.666 0.063
F 0.619 0.834 0.937
F 0.586 0.522 0.250
F 0.086 0.978 0.750
F 0.914 0.022 0.250
F 0.414 0.478 0.750
F 0.381 0.166 0.063
F 0.881 0.334 0.937
F 0.119 0.666 0.437
F 0.619 0.834 0.563

Computed properties:
**Magnetic moment**: 0.00 μB per formula unit
**V**: 190.8 Å³ per cell
**Space-group type**: Pnma (62)
**ΔH_f (0 K)**: -17.9 eV per formula unit